The following is a PBE calculation of crystalline Cs2TlCl5 at its relaxed geometry, from Materials Project.

Cell lengths 9.6139, 7.6480, 15.2784 Å; angles 90.00, 90.00, 90.00 degrees
With the nearest neighbours (Å) after each atom.
Positions (direct):
Cs 0.0310 0.2500 0.2023  10 Cl 3.63-3.82
Cs 0.1768 0.7500 0.4218  10 Cl 3.62-3.86
Cs 0.3232 0.2500 0.9218  10 Cl 3.62-3.86
Cs 0.4690 0.7500 0.7023  10 Cl 3.63-3.82
Cs 0.5310 0.2500 0.2977  10 Cl 3.63-3.82
Cs 0.6768 0.7500 0.0782  10 Cl 3.62-3.86
Cs 0.8232 0.2500 0.5782  10 Cl 3.62-3.86
Cs 0.9690 0.7500 0.7977  10 Cl 3.63-3.82
Tl 0.1881 0.7500 0.0703  4 Cl 2.54-2.58
Tl 0.3119 0.2500 0.5703  4 Cl 2.54-2.58
Tl 0.6881 0.7500 0.4297  4 Cl 2.54-2.58
Tl 0.8119 0.2500 0.9297  4 Cl 2.54-2.58
Cl 0.0000 0.0000 0.0000  2 Tl 2.84
Cl 0.0000 0.5000 0.0000  2 Tl 2.84
Cl 0.0267 0.7500 0.2015  1 Tl 2.54
Cl 0.1582 0.5055 0.6242  1 Tl 2.58
Cl 0.1582 0.9945 0.6242  1 Tl 2.58
Cl 0.2037 0.2500 0.4159  1 Tl 2.58
Cl 0.2963 0.7500 0.9159  1 Tl 2.58
Cl 0.3418 0.0055 0.1242  1 Tl 2.58
Cl 0.3418 0.4945 0.1242  1 Tl 2.58
Cl 0.4733 0.2500 0.7015  1 Tl 2.54
Cl 0.5000 0.0000 0.5000  2 Tl 2.84
Cl 0.5000 0.5000 0.5000  2 Tl 2.84
Cl 0.5267 0.7500 0.2985  1 Tl 2.54
Cl 0.6582 0.5055 0.8758  1 Tl 2.58
Cl 0.6582 0.9945 0.8758  1 Tl 2.58
Cl 0.7037 0.2500 0.0841  1 Tl 2.58
Cl 0.7963 0.7500 0.5841  1 Tl 2.58
Cl 0.8418 0.0055 0.3758  1 Tl 2.58
Cl 0.8418 0.4945 0.3758  1 Tl 2.58
Cl 0.9733 0.2500 0.7985  1 Tl 2.54

Properties
Formation energy   -14.17 eV per formula unit